No. 1
{"formula": "CuH11C4N2O10", "functional": "GGA-PBE", "state": "relaxed", "m_tot_mub_per_fu": 1.22, "vol_a3_per_atom": 9.7, "final_energy_ev_per_atom": -5.952, "lattice_angstrom": [[-2.069, 6.665, 0.045], [-4.441, -2.247, -7.494], [-4.904, -3.030, 7.280]], "species": ["H", "O", "O", "Cu", "O", "H", "O", "O", "H", "H", "H", "O", "O", "C", "H", "O", "C", "H", "H", "O", "Cu", "O", "H", "O", "C", "O", "H", "H", "O", "O", "N", "O", "H", "H", "H", "H", "O", "H", "N", "N", "C", "C", "H", "H", "N", "H", "H", "C", "C", "O", "O", "H", "O", "H", "C", "O"], "frac_coords": [[0.026, 0.671, 0.635], [0.895, 0.198, 0.030], [0.616, 0.284, 0.959], [0.500, 0.000, 0.500], [0.458, 0.541, 0.296], [0.806, 0.549, 0.582], [0.258, 0.102, 0.119], [0.542, 0.459, 0.704], [0.284, 0.509, 0.992], [0.209, 0.024, 0.744], [0.823, 0.641, 0.956], [0.534, 0.033, 0.221], [0.414, 0.205, 0.571], [0.235, 0.732, 0.351], [0.974, 0.329, 0.365], [0.237, 0.884, 0.410], [0.765, 0.268, 0.649], [0.346, 0.324, 0.932], [0.365, 0.602, 0.678], [0.072, 0.017, 0.758], [0.000, 0.000, 0.000], [0.466, 0.967, 0.779], [0.825, 0.735, 0.710], [0.763, 0.116, 0.590], [0.371, 0.999, 0.135], [0.105, 0.802, 0.970], [0.822, 0.707, 0.524], [0.994, 0.056, 0.684], [0.265, 0.649, 0.627], [0.586, 0.795, 0.429], [0.871, 0.666, 0.613], [0.915, 0.366, 0.716], [0.177, 0.359, 0.044], [0.194, 0.451, 0.418], [0.882, 0.641, 0.139], [0.716, 0.491, 0.008], [0.742, 0.898, 0.881], [0.791, 0.976, 0.256], [0.231, 0.387, 0.957], [0.129, 0.334, 0.387], [0.716, 0.176, 0.961], [0.629, 0.001, 0.865], [0.635, 0.398, 0.322], [0.006, 0.944, 0.316], [0.769, 0.613, 0.043], [0.175, 0.265, 0.290], [0.178, 0.293, 0.476], [0.440, 0.680, 0.359], [0.284, 0.824, 0.039], [0.735, 0.351, 0.373], [0.085, 0.634, 0.284], [0.654, 0.676, 0.068], [0.384, 0.716, 0.041], [0.118, 0.359, 0.861], [0.560, 0.320, 0.641], [0.928, 0.983, 0.242]]}

No. 2
{"formula": "CuP2H7C2NO6", "functional": "GGA-PBE", "state": "relaxed", "m_tot_mub_per_fu": 1.00, "vol_a3_per_atom": 9.9, "final_energy_ev_per_atom": -5.942, "lattice_angstrom": [[-5.407, -4.997, 1.458], [5.785, -4.862, 4.794], [2.058, 1.653, 13.299]], "species": ["H", "H", "C", "C", "H", "H", "N", "C", "C", "O", "H", "H", "N", "P", "O", "H", "C", "O", "O", "H", "O", "H", "O", "O", "P", "H", "H", "O", "C", "O", "O", "H", "Cu", "O", "O", "H", "H", "H", "N", "O", "H", "Cu", "O", "C", "C", "O", "H", "H", "O", "H", "P", "H", "O", "P", "P", "N", "O", "Cu", "O", "H", "H", "H", "H", "O", "H", "O", "P", "H", "O", "H", "O", "P", "O", "H", "P", "Cu"], "frac_coords": [[0.370, 0.601, 0.489], [0.644, 0.253, 0.133], [0.566, 0.231, 0.074], [0.434, 0.769, 0.926], [0.399, 0.712, 0.094], [0.130, 0.601, 0.989], [0.682, 0.257, 0.977], [0.187, 0.594, 0.066], [0.813, 0.406, 0.934], [0.014, 0.164, 0.931], [0.392, 0.037, 0.676], [0.250, 0.463, 0.125], [0.818, 0.257, 0.477], [0.506, 0.375, 0.357], [0.986, 0.836, 0.069], [0.892, 0.963, 0.824], [0.066, 0.769, 0.426], [0.953, 0.460, 0.727], [0.611, 0.887, 0.139], [0.453, 0.326, 0.038], [0.889, 0.887, 0.639], [0.223, 0.492, 0.329], [0.111, 0.113, 0.361], [0.486, 0.164, 0.431], [0.482, 0.998, 0.163], [0.953, 0.674, 0.462], [0.750, 0.537, 0.875], [0.547, 0.460, 0.227], [0.687, 0.406, 0.434], [0.514, 0.836, 0.569], [0.712, 0.014, 0.864], [0.630, 0.399, 0.511], [0.202, 0.977, 0.975], [0.841, 0.539, 0.121], [0.288, 0.986, 0.136], [0.547, 0.674, 0.962], [0.608, 0.963, 0.324], [0.356, 0.747, 0.867], [0.182, 0.743, 0.523], [0.212, 0.986, 0.636], [0.899, 0.288, 0.406], [0.298, 0.977, 0.475], [0.991, 0.061, 0.203], [0.313, 0.594, 0.566], [0.934, 0.231, 0.574], [0.788, 0.014, 0.364], [0.856, 0.253, 0.633], [0.870, 0.399, 0.011], [0.491, 0.939, 0.297], [0.777, 0.508, 0.671], [0.494, 0.625, 0.643], [0.047, 0.326, 0.538], [0.159, 0.461, 0.879], [0.994, 0.375, 0.857], [0.018, 0.998, 0.663], [0.318, 0.743, 0.023], [0.509, 0.061, 0.703], [0.798, 0.023, 0.025], [0.659, 0.539, 0.621], [0.250, 0.463, 0.625], [0.277, 0.492, 0.829], [0.723, 0.508, 0.171], [0.601, 0.288, 0.906], [0.453, 0.540, 0.773], [0.108, 0.037, 0.176], [0.047, 0.540, 0.273], [0.518, 0.002, 0.837], [0.101, 0.712, 0.594], [0.341, 0.461, 0.379], [0.750, 0.537, 0.375], [0.009, 0.939, 0.797], [0.006, 0.625, 0.143], [0.389, 0.113, 0.861], [0.144, 0.747, 0.367], [0.982, 0.002, 0.337], [0.702, 0.023, 0.525]]}